## Na2Ca4Nb4Si3S9O48 (PBE)

Data for Na2Ca4Nb4Si3S9O48 after structural relaxation.

```
Na2Ca4Nb4Si3S9O48
1.0
-7.313 5.914 -15.462
6.575 -6.261 -0.164
-16.190 -17.066 1.143
O S Si Ca Nb Na
144 27 9 12 12 6
direct
0.906 0.514 0.739
0.256 0.369 0.139
0.424 0.283 0.526
0.563 0.470 0.869
0.081 0.968 0.906
0.899 0.842 0.909
0.262 0.869 0.364
0.909 0.814 0.198
0.499 0.182 0.601
0.664 0.841 0.972
0.747 0.628 0.572
0.273 0.850 0.468
0.233 0.282 0.749
0.242 0.117 0.632
0.399 0.000 0.089
0.178 0.506 0.073
0.584 0.952 0.925
0.400 0.959 0.407
0.938 0.519 0.424
0.235 0.127 0.920
0.345 0.169 0.735
0.394 0.795 0.199
0.100 0.211 0.700
0.576 0.696 0.469
0.000 0.818 0.104
0.236 0.169 0.235
0.329 0.126 0.419
0.472 0.759 0.800
0.828 0.533 0.921
0.404 0.001 0.697
0.847 0.526 0.235
0.441 0.510 0.135
0.685 0.501 0.073
0.092 0.997 0.198
0.319 0.125 0.133
0.768 0.872 0.367
0.812 0.135 0.139
0.092 0.184 0.106
0.071 0.507 0.572
0.582 0.193 0.406
0.403 0.294 0.239
0.907 0.000 0.105
0.259 0.678 0.971
0.353 0.561 0.529
0.912 0.300 0.237
0.246 0.646 0.571
0.183 0.865 0.572
0.727 0.314 0.030
0.007 0.815 0.694
0.601 0.990 0.200
0.940 0.348 0.920
0.739 0.121 0.925
0.481 0.151 0.307
0.746 0.845 0.072
0.077 0.462 0.971
0.100 0.164 0.803
0.430 0.542 0.033
0.774 0.876 0.763
0.603 0.197 0.089
0.946 0.372 0.633
0.519 0.211 0.924
0.681 0.853 0.572
0.429 0.364 0.636
0.896 0.961 0.423
0.856 0.181 0.748
0.101 0.005 0.587
0.735 0.341 0.419
0.908 0.763 0.299
0.674 0.471 0.364
0.217 0.282 0.030
0.580 0.482 0.972
0.064 0.659 0.367
0.021 0.205 0.911
0.602 0.039 0.303
0.856 0.150 0.029
0.070 0.481 0.868
0.070 0.665 0.764
0.739 0.302 0.732
0.173 0.874 0.865
0.895 0.994 0.700
0.247 0.868 0.074
0.776 0.688 0.248
0.079 0.678 0.470
0.438 0.533 0.419
0.744 0.365 0.133
0.761 0.658 0.866
0.406 0.054 0.799
0.581 0.164 0.698
0.566 0.473 0.264
0.158 0.865 0.249
0.667 0.883 0.263
0.569 0.659 0.367
0.322 0.523 0.925
0.273 0.865 0.748
0.268 0.663 0.868
0.976 0.187 0.299
0.020 0.829 0.422
0.735 0.186 0.247
0.118 0.050 0.299
0.657 0.468 0.747
0.407 0.814 0.607
0.353 0.526 0.246
0.240 0.359 0.422
0.226 0.138 0.529
0.565 0.680 0.749
0.669 0.866 0.869
0.504 0.197 0.195
0.412 0.519 0.737
0.149 0.850 0.967
0.569 0.629 0.075
0.396 0.832 0.925
0.169 0.474 0.368
0.846 0.552 0.530
0.438 0.359 0.926
0.771 0.694 0.969
0.818 0.517 0.632
0.346 0.141 0.031
0.899 0.800 0.588
0.933 0.318 0.531
0.760 0.842 0.470
0.650 0.446 0.466
0.415 0.786 0.302
0.001 0.204 0.587
0.520 0.839 0.408
0.917 0.041 0.803
0.273 0.670 0.261
0.823 0.122 0.423
0.618 0.175 0.808
0.922 0.571 0.028
0.573 0.507 0.569
0.928 0.491 0.137
0.496 0.804 0.697
0.073 0.642 0.070
0.165 0.449 0.764
0.066 0.453 0.248
0.718 0.149 0.528
0.999 0.188 0.198
0.498 0.792 0.090
0.163 0.483 0.471
0.084 0.214 0.422
0.981 0.809 0.806
0.312 0.487 0.639
0.758 0.142 0.638
0.592 0.997 0.603
0.312 0.674 0.920
0.165 0.380 0.419
0.491 0.702 0.747
0.148 0.013 0.246
0.026 0.373 0.915
0.329 0.036 0.081
0.358 0.015 0.745
0.313 0.952 0.415
0.526 0.678 0.415
0.024 0.670 0.420
0.664 0.374 0.415
0.992 0.283 0.246
0.983 0.342 0.581
0.859 0.016 0.752
0.150 0.281 0.752
0.859 0.702 0.246
0.814 0.677 0.915
0.650 0.019 0.252
0.163 0.952 0.915
0.523 0.377 0.920
0.812 0.951 0.420
0.483 0.620 0.082
0.830 0.624 0.581
0.188 0.038 0.580
0.358 0.701 0.251
0.689 0.340 0.080
0.664 0.952 0.919
0.979 0.629 0.081
0.189 0.333 0.085
0.690 0.047 0.585
0.998 0.699 0.746
0.496 0.290 0.248
0.832 0.038 0.083
0.479 0.330 0.580
0.642 0.282 0.751
0.335 0.630 0.585
0.661 0.651 0.804
0.999 0.998 0.355
0.671 0.669 0.308
0.842 0.339 0.983
0.340 0.347 0.483
0.173 0.675 0.808
0.000 0.000 0.647
0.162 0.664 0.308
0.827 0.324 0.483
0.325 0.327 0.982
0.500 0.000 0.148
0.503 0.006 0.851
0.506 0.012 0.643
0.170 0.665 0.524
0.829 0.330 0.689
0.999 0.999 0.142
0.161 0.649 0.024
0.336 0.336 0.185
0.500 0.012 0.355
0.834 0.331 0.179
0.672 0.674 0.021
0.000 0.988 0.851
0.338 0.341 0.680
0.664 0.675 0.527
0.338 0.343 0.338
0.830 0.331 0.834
0.333 0.332 0.835
0.499 0.002 0.997
0.831 0.329 0.339
0.998 0.997 0.500
```

Summary:
Formation energy = -2.488 eV per atom
Magnetization = 0.00 μB/f.u.
Total energy = -483.25 eV/f.u.
Space-group type = P1
MP2020-corrected energy = -7.3746 eV/atom